Record 1
Below is ZnSnBi2O6 after structural relaxation, with properties calculated at the r²SCAN level.

```
10
Lattice="0.0000 3.9900 3.9900 3.9900 0.0000 3.9900 3.9900 3.9900 0.0000" Properties=species:S:1:pos:R:3 pbc="T T T"
Zn 0.0000 0.0000 0.0000
Sn 3.9900 3.9900 3.9900
Bi 1.9950 1.9950 1.9950
Bi 5.9849 5.9849 5.9849
O 1.9890 3.9900 3.9900
O 5.9910 3.9900 3.9900
O 3.9900 1.9890 3.9900
O 3.9900 5.9910 3.9900
O 3.9900 3.9900 1.9890
O 3.9900 3.9900 5.9910
```

---

Record 2
Below is SbPb after structural relaxation, with properties calculated at the r²SCAN level.

```
2
Lattice="0.0000 3.1612 3.1612 3.1612 0.0000 3.1612 3.1612 3.1612 0.0000" Properties=species:S:1:pos:R:3 pbc="T T T"
Sb 3.1612 3.1612 3.1612
Pb 0.0000 0.0000 0.0000
```

---

Record 3
Below is V8N after structural relaxation, with properties calculated at the r²SCAN level.

```
18
Lattice="-0.5142 0.1370 2.9173 -2.6308 -8.2762 -0.0752 8.1385 -2.6009 1.5567" Properties=species:S:1:pos:R:3 pbc="T T T"
V 4.1909 -4.4773 2.4561
V 0.8021 -6.2626 1.9426
V 0.8664 -1.7111 0.2331
V 4.6418 -9.1658 1.2485
V -1.6746 -7.5678 1.5673
V 6.6681 -3.1717 2.8315
V 3.3747 -6.6641 0.9077
V 2.1331 -4.2129 0.5738
V -0.2386 -3.4480 1.6270
V 5.2323 -7.2928 2.7719
V 4.7981 -2.5818 0.9670
V 0.7092 -8.2952 0.5145
V 2.5427 -1.9820 2.0484
V 2.4508 -8.7583 2.3504
V -0.7133 -5.4861 0.1318
V 6.2207 -5.3914 1.3497
N 2.4967 -5.3699 2.1994
N -2.6307 -8.2760 -0.0751
```

---

Here are the calculated E_form numbers, same order: -1.190 0.039 -0.377 (eV per atom).
Here are the calculated final energy numbers, same order: -19.84 -40.96 -13.92 (eV/atom).